(1)
First-principles (PBE-GGA) data for a relaxed structure of Pb, as listed in Materials Project.

Cell lengths 5.001, 5.001, 5.001 Å; angles 60.00, 60.00, 60.00 degrees
Fractional positions:
1 Pb 0.875 0.875 0.875
2 Pb 0.125 0.125 0.125

**E_tot**: -3.45 eV per formula unit
**Formation energy**: 0.3 eV per formula unit
**ΔE to the lowest computed polymorph**: 262 meV per atom
**Volume**: 44.23 Å³/atom

(2)
First-principles (PBE-GGA) data for a relaxed structure of Ba5MgBi3O11, as listed in Materials Project.

Cell lengths 6.441, 6.526, 9.856 Å; angles 91.14, 81.64, 89.13 degrees
Fractional positions:
1 O 0.589 0.228 0.422
2 O 0.663 0.452 0.777
3 O 0.774 0.231 0.040
4 O 0.708 0.705 0.441
5 O 0.932 0.834 0.698
6 O 0.093 0.028 0.231
7 O 0.290 0.273 0.982
8 O 0.060 0.415 0.534
9 O 0.815 0.731 0.043
10 O 0.339 0.776 0.963
11 O 0.376 0.566 0.255
12 Ba 0.971 0.489 0.242
13 Ba 0.517 0.968 0.229
14 Ba 0.935 0.052 0.484
15 Ba 0.616 0.026 0.828
16 Ba 0.093 0.530 0.823
17 Mg 0.815 0.595 0.607
18 Bi 0.064 0.008 0.023
19 Bi 0.551 0.503 0.003
20 Bi 0.416 0.505 0.461

**E_tot**: -117.10 eV per formula unit
**Formation energy**: -47.4 eV per formula unit
**ΔE to the lowest computed polymorph**: 0 meV per atom
**Volume**: 20.49 Å³/atom

(3)
First-principles (PBE-GGA) data for a relaxed structure of Mg3Bi, as listed in Materials Project.

Cell lengths 3.396, 5.313, 5.611 Å; angles 90.00, 90.00, 90.00 degrees
Fractional positions:
1 Mg 0.000 0.000 0.668
2 Mg 0.000 0.500 0.339
3 Mg 0.500 0.500 0.828
4 Bi 0.500 0.000 0.166

**E_tot**: -8.80 eV per formula unit
**Formation energy**: -0.1 eV per formula unit
**Volume**: 25.31 Å³/atom

(4)
First-principles (PBE-GGA) data for a relaxed structure of H2S, as listed in Materials Project.

Cell lengths 13.655, 13.655, 4.280 Å; angles 90.00, 90.00, 90.00 degrees
Fractional positions:
1 H 0.629 0.687 0.859
2 H 0.187 0.368 0.641
3 H 0.060 0.106 0.847
4 H 0.894 0.060 0.347
5 H 0.810 0.131 0.648
6 H 0.395 0.057 0.350
7 H 0.371 0.313 0.859
8 H 0.558 0.604 0.154
9 H 0.871 0.311 0.147
10 H 0.368 0.813 0.141
11 H 0.440 0.895 0.843
12 H 0.311 0.129 0.647
13 H 0.442 0.396 0.154
14 H 0.057 0.605 0.850
15 H 0.129 0.689 0.147
16 H 0.396 0.558 0.654
17 H 0.560 0.105 0.843
18 H 0.605 0.943 0.350
19 H 0.689 0.871 0.647
20 H 0.687 0.371 0.359
21 H 0.131 0.190 0.148
22 H 0.106 0.940 0.347
23 H 0.105 0.440 0.343
24 H 0.190 0.869 0.648
25 H 0.869 0.810 0.148
26 H 0.940 0.894 0.847
27 H 0.895 0.560 0.343
28 H 0.604 0.442 0.654
29 H 0.632 0.187 0.141
30 H 0.813 0.632 0.641
31 H 0.313 0.629 0.359
32 H 0.943 0.395 0.850
33 S 0.098 0.355 0.509
34 S 0.854 0.898 0.006
35 S 0.355 0.902 0.009
36 S 0.402 0.643 0.492
37 S 0.643 0.598 0.992
38 S 0.856 0.398 0.003
39 S 0.898 0.146 0.506
40 S 0.357 0.402 0.992
41 S 0.645 0.098 0.009
42 S 0.146 0.102 0.006
43 S 0.598 0.357 0.492
44 S 0.398 0.144 0.503
45 S 0.144 0.602 0.003
46 S 0.902 0.645 0.509
47 S 0.602 0.856 0.503
48 S 0.102 0.854 0.506

**E_tot**: -11.33 eV per formula unit
**Formation energy**: -0.9 eV per formula unit
**ΔE to the lowest computed polymorph**: 12 meV per atom
**Volume**: 16.63 Å³/atom
**Maximum piezoelectric response**: 0.13 C/m2